Entry 1:
# CrRe3 (PBE, relaxed)
data_CrRe3
_chemical_formula_sum 'Cr1 Re3'
_cell_length_a 3.864
_cell_length_b 3.864
_cell_length_c 3.864
_cell_angle_alpha 90.00
_cell_angle_beta 90.00
_cell_angle_gamma 90.00
_symmetry_space_group_name_H-M 'P m -3 m'
_symmetry_Int_Tables_number 221
_symmetry_space_group_name_Hall '-P 4 2 3'
loop_
_atom_site_label
_atom_site_type_symbol
_atom_site_fract_x
_atom_site_fract_y
_atom_site_fract_z
Cr1 Cr 0.000 0.000 0.000
Re1 Re 0.000 0.500 0.500
# Electronic total energy ... -46.5 eV per formula unit
# Size of the total moment ... 0.01 μB/cell
# Formation enthalpy at 0 K ... 0.5 eV per formula unit

Entry 2:
# V2CrRe (PBE, relaxed)
data_V2CrRe
_chemical_formula_sum 'V8 Cr4 Re4'
_cell_length_a 5.970
_cell_length_b 5.970
_cell_length_c 5.970
_cell_angle_alpha 90.00
_cell_angle_beta 90.00
_cell_angle_gamma 90.00
_symmetry_space_group_name_H-M 'F m -3 m'
_symmetry_Int_Tables_number 225
_symmetry_space_group_name_Hall '-F 4 2 3'
loop_
_atom_site_label
_atom_site_type_symbol
_atom_site_fract_x
_atom_site_fract_y
_atom_site_fract_z
V1 V 0.250 0.250 0.250
Cr1 Cr 0.000 0.000 0.000
Re1 Re 0.000 0.000 0.500
# Electronic total energy ... -41.3 eV per formula unit
# Formation enthalpy at 0 K ... -1.0 eV per formula unit

Entry 3:
# Cr3Rh (PBE, relaxed)
data_Cr3Rh
_chemical_formula_sum 'Cr6 Rh2'
_cell_length_a 4.638
_cell_length_b 4.638
_cell_length_c 4.638
_cell_angle_alpha 90.00
_cell_angle_beta 90.00
_cell_angle_gamma 90.00
_symmetry_space_group_name_H-M 'P m -3 n'
_symmetry_Int_Tables_number 223
_symmetry_space_group_name_Hall '-P 4n 2 3'
loop_
_atom_site_label
_atom_site_type_symbol
_atom_site_fract_x
_atom_site_fract_y
_atom_site_fract_z
Cr1 Cr 0.000 0.250 0.500
Rh1 Rh 0.000 0.000 0.000
# Electronic total energy ... -36.0 eV per formula unit
# Size of the total moment ... 0.01 μB/cell
# Formation enthalpy at 0 K ... 0.3 eV per formula unit

Entry 4:
# CrSnRh2 (PBE, relaxed)
data_CrSnRh2
_chemical_formula_sum 'Cr2 Sn2 Rh4'
_cell_length_a 4.108
_cell_length_b 4.108
_cell_length_c 7.306
_cell_angle_alpha 90.00
_cell_angle_beta 90.00
_cell_angle_gamma 90.00
_symmetry_space_group_name_H-M 'I 4/m m m'
_symmetry_Int_Tables_number 139
_symmetry_space_group_name_Hall '-I 4 2'
loop_
_atom_site_label
_atom_site_type_symbol
_atom_site_fract_x
_atom_site_fract_y
_atom_site_fract_z
Cr1 Cr 0.000 0.000 0.000
Sn1 Sn 0.000 0.000 0.500
Rh1 Rh 0.000 0.500 0.250
# Electronic total energy ... -29.6 eV per formula unit
# Size of the total moment ... 4.74 μB/cell
# Formation enthalpy at 0 K ... -1.2 eV per formula unit

Entry 5:
# SrCrRh2 (PBE, relaxed)
data_SrCrRh2
_chemical_formula_sum 'Sr4 Cr4 Rh8'
_cell_length_a 6.656
_cell_length_b 6.656
_cell_length_c 6.656
_cell_angle_alpha 90.00
_cell_angle_beta 90.00
_cell_angle_gamma 90.00
_symmetry_space_group_name_H-M 'F m -3 m'
_symmetry_Int_Tables_number 225
_symmetry_space_group_name_Hall '-F 4 2 3'
loop_
_atom_site_label
_atom_site_type_symbol
_atom_site_fract_x
_atom_site_fract_y
_atom_site_fract_z
Sr1 Sr 0.000 0.000 0.000
Cr1 Cr 0.000 0.000 0.500
Rh1 Rh 0.250 0.250 0.250
# Electronic total energy ... -24.8 eV per formula unit
# Size of the total moment ... 13.74 μB/cell
# Formation enthalpy at 0 K ... 1.3 eV per formula unit

Entry 6:
# CrTe4Rh2 (PBE, relaxed)
data_CrTe4Rh2
_chemical_formula_sum 'Cr2 Te8 Rh4'
_cell_length_a 13.157
_cell_length_b 4.103
_cell_length_c 7.070
_cell_angle_alpha 90.00
_cell_angle_beta 121.89
_cell_angle_gamma 90.00
_symmetry_space_group_name_H-M 'C 1 2/m 1'
_symmetry_Int_Tables_number 12
loop_
_symmetry_equiv_pos_as_xyz
'x,y,z'
'-x,-y,-z'
'-x,y,-z'
'x,-y,z'
'x+1/2,y+1/2,z'
'-x+1/2,-y+1/2,-z'
'-x+1/2,y+1/2,-z'
'x+1/2,-y+1/2,z'
loop_
_atom_site_label
_atom_site_type_symbol
_atom_site_fract_x
_atom_site_fract_y
_atom_site_fract_z
Cr1 Cr 0.000 0.000 0.000
Te1 Te 0.129 0.000 0.466
Te2 Te 0.132 0.500 0.965
Rh1 Rh 0.247 0.500 0.737
# Electronic total energy ... -39.1 eV per formula unit
# Size of the total moment ... 7.54 μB/cell
# Formation enthalpy at 0 K ... -2.2 eV per formula unit

Entry 7:
# Cr3Ru (PBE, relaxed)
data_Cr3Ru
_chemical_formula_sum 'Cr6 Ru2'
_cell_length_a 4.633
_cell_length_b 4.633
_cell_length_c 4.633
_cell_angle_alpha 90.00
_cell_angle_beta 90.00
_cell_angle_gamma 90.00
_symmetry_space_group_name_H-M 'P m -3 n'
_symmetry_Int_Tables_number 223
_symmetry_space_group_name_Hall '-P 4n 2 3'
loop_
_atom_site_label
_atom_site_type_symbol
_atom_site_fract_x
_atom_site_fract_y
_atom_site_fract_z
Cr1 Cr 0.000 0.250 0.500
Ru1 Ru 0.000 0.000 0.000
# Electronic total energy ... -37.9 eV per formula unit
# Size of the total moment ... 0.07 μB/cell
# Formation enthalpy at 0 K ... 0.3 eV per formula unit

Entry 8:
# Cr3Ru (PBE, relaxed)
data_Cr3Ru
_chemical_formula_sum 'Cr6 Ru2'
_cell_length_a 2.884
_cell_length_b 4.260
_cell_length_c 8.088
_cell_angle_alpha 90.00
_cell_angle_beta 90.00
_cell_angle_gamma 90.00
_symmetry_space_group_name_H-M 'C m m m'
_symmetry_Int_Tables_number 65
_symmetry_space_group_name_Hall '-C 2 2'
loop_
_atom_site_label
_atom_site_type_symbol
_atom_site_fract_x
_atom_site_fract_y
_atom_site_fract_z
Cr1 Cr 0.000 0.000 0.000
Cr2 Cr 0.000 0.500 0.238
Ru1 Ru 0.000 0.000 0.500
# Electronic total energy ... -37.5 eV per formula unit
# Size of the total moment ... 0.27 μB/cell
# Formation enthalpy at 0 K ... 0.7 eV per formula unit

Entry 9:
# CrRu (PBE, relaxed)
data_CrRu
_chemical_formula_sum 'Cr1 Ru1'
_cell_length_a 2.6637
_cell_length_b 2.6637
_cell_length_c 4.2180
_cell_angle_alpha 90.00
_cell_angle_beta 90.00
_cell_angle_gamma 120.00
_symmetry_space_group_name_H-M 'P -6 m 2'
_symmetry_Int_Tables_number 187
_symmetry_space_group_name_Hall 'P -6 2'
loop_
_atom_site_label
_atom_site_type_symbol
_atom_site_fract_x
_atom_site_fract_y
_atom_site_fract_z
Cr1 Cr 0.0000 0.0000 0.0000
Ru1 Ru 0.6667 0.3333 0.5000
# Electronic total energy ... -18.7 eV per formula unit
# Size of the total moment ... 0.00 μB/cell
# Formation enthalpy at 0 K ... 0.3 eV per formula unit

Entry 10:
# V2CrRu (PBE, relaxed)
data_V2CrRu
_chemical_formula_sum 'V8 Cr4 Ru4'
_cell_length_a 5.926
_cell_length_b 5.926
_cell_length_c 5.926
_cell_angle_alpha 90.00
_cell_angle_beta 90.00
_cell_angle_gamma 90.00
_symmetry_space_group_name_H-M 'F m -3 m'
_symmetry_Int_Tables_number 225
_symmetry_space_group_name_Hall '-F 4 2 3'
loop_
_atom_site_label
_atom_site_type_symbol
_atom_site_fract_x
_atom_site_fract_y
_atom_site_fract_z
V1 V 0.250 0.250 0.250
Cr1 Cr 0.000 0.000 0.000
Ru1 Ru 0.000 0.000 0.500
# Electronic total energy ... -38.1 eV per formula unit
# Formation enthalpy at 0 K ... -1.0 eV per formula unit

Entry 11:
# CrS2 (PBE, relaxed)
data_CrS2
_chemical_formula_sum 'Cr12 S24'
_cell_length_a 6.8305
_cell_length_b 6.8305
_cell_length_c 15.7395
_cell_angle_alpha 90.00
_cell_angle_beta 90.00
_cell_angle_gamma 120.00
_symmetry_space_group_name_H-M 'R -3 m'
_symmetry_Int_Tables_number 166
_symmetry_space_group_name_Hall '-R 3 2"'
loop_
_atom_site_label
_atom_site_type_symbol
_atom_site_fract_x
_atom_site_fract_y
_atom_site_fract_z
Cr1 Cr 0.0000 0.0000 0.0000
Cr2 Cr 0.0000 0.5000 0.5000
S1 S 0.0000 0.0000 0.2492
S2 S 0.0072 0.5036 0.7496
# Electronic total energy ... -19.4 eV per formula unit
# Size of the total moment ... 24.15 μB/cell
# Formation enthalpy at 0 K ... -2.5 eV per formula unit

Entry 12:
# CrS2 (PBE, relaxed)
data_CrS2
_chemical_formula_sum 'Cr3 S6'
_cell_length_a 3.0644
_cell_length_b 3.0644
_cell_length_c 23.0748
_cell_angle_alpha 90.00
_cell_angle_beta 90.00
_cell_angle_gamma 120.00
_symmetry_space_group_name_H-M 'R -3 m'
_symmetry_Int_Tables_number 166
_symmetry_space_group_name_Hall '-R 3 2"'
loop_
_atom_site_label
_atom_site_type_symbol
_atom_site_fract_x
_atom_site_fract_y
_atom_site_fract_z
Cr1 Cr 0.0000 0.0000 0.0000
S1 S 0.0000 0.0000 0.3973
# Electronic total energy ... -19.4 eV per formula unit
# Size of the total moment ... 0.00 μB/cell
# Formation enthalpy at 0 K ... -2.5 eV per formula unit